A geometry-optimized Mg2Sc structure, computed with PBE.

Unit cell a=6.1786 b=6.1786 c=7.5990 alpha=75.33 beta=75.33 gamma=30.37
Closest atoms and distances in Å follow each position.
Sites, in units of the cell vectors:
Mg1 0.0280 0.0280 0.6936  8 Mg 3.18-3.24, 4 Sc 3.21-3.22
Mg2 0.3061 0.3061 0.6392  3 Sc 3.19-3.22, 9 Mg 3.21-3.24
Mg3 0.6939 0.6939 0.3608  3 Sc 3.19-3.22, 9 Mg 3.21-3.24
Mg4 0.9720 0.9720 0.3064  8 Mg 3.18-3.24, 4 Sc 3.21-3.22
Sc1 0.3612 0.3612 0.0275  7 Mg 3.19-3.22, 5 Sc 3.23-3.24
Sc2 0.6388 0.6388 0.9725  7 Mg 3.19-3.22, 5 Sc 3.23-3.24

Output
As for the calculated total energy: -3.198 eV/atom. For the density, the calculation gives 2195 kg/m3. Its crystal system is monoclinic. Its energy of formation from the pure elements is -0.1 eV per formula unit. Its space group is No. 12.